A plane-wave DFT calculation with PBE was carried out for a relaxed structure of SbH5Cl6O2.

Output
M_tot = 0.00 μB/atom
relative energy among the computed polymorphs = 0.0008 eV per atom
energy of formation = -931 meV per atom
crystal system = monoclinic

Lattice parameters (Å, degrees): 12.233 7.232 13.602 90.00 114.14 90.00
Space group C2 (No. 5)
Unique sites:
Sb: 0.249 0.000 0.251 (multiplicity 4)
H: 0.000 0.531 0.000 (multiplicity 2)
H: 0.000 0.971 0.500 (multiplicity 2)
H: 0.051 0.523 0.149 (multiplicity 4)
H: 0.052 0.963 0.650 (multiplicity 4)
H: 0.085 0.030 0.416 (multiplicity 4)
H: 0.087 0.474 0.919 (multiplicity 4)
Cl: 0.039 0.045 0.160 (multiplicity 4)
Cl: 0.039 0.460 0.657 (multiplicity 4)
Cl: 0.217 0.707 0.320 (multiplicity 4)
Cl: 0.218 0.798 0.818 (multiplicity 4)
Cl: 0.244 0.158 0.408 (multiplicity 4)
Cl: 0.246 0.348 0.907 (multiplicity 4)
O: 0.018 0.542 0.920 (multiplicity 4)
O: 0.018 0.958 0.420 (multiplicity 4)